Computed, not measured: an optimized crystal structure of Ca5Y3Ti5Mn3O24 at the GGA+U level of DFT. Values from VASP.

**Space-group type**: No. 1
**VASP energy**: -8.182 eV per atom
**DFT formation energy**: -3341 meV per atom

Cell and atoms, written as Quantum ESPRESSO input:
```
&SYSTEM
  ibrav = 0, nat = 40, ntyp = 5
/
ATOMIC_SPECIES
Ca 40.08 Ca.upf
Y 88.91 Y.upf
Ti 47.87 Ti.upf
Mn 54.94 Mn.upf
O 16.00 O.upf
ATOMIC_POSITIONS crystal
Ca 0.013 0.051 0.624
Ca 0.013 0.057 0.128
Ca 0.491 0.553 0.624
Ca 0.511 0.454 0.873
Ca 0.991 0.954 0.872
Y 0.485 0.568 0.129
Y 0.517 0.430 0.374
Y 0.980 0.930 0.375
Ti 0.013 0.503 0.748
Ti 0.008 0.497 0.501
Ti 0.514 0.997 0.749
Ti 0.505 0.022 0.001
Ti 0.992 0.516 0.001
Mn 0.002 0.496 0.250
Mn 0.497 0.001 0.250
Mn 0.493 0.995 0.500
O 0.078 0.521 0.876
O 0.108 0.532 0.375
O 0.203 0.788 0.729
O 0.187 0.799 0.521
O 0.212 0.807 0.225
O 0.210 0.781 0.026
O 0.302 0.318 0.227
O 0.285 0.293 0.729
O 0.294 0.317 0.520
O 0.304 0.294 0.027
O 0.416 0.022 0.877
O 0.391 0.030 0.378
O 0.580 0.974 0.625
O 0.592 0.966 0.122
O 0.707 0.700 0.980
O 0.705 0.715 0.772
O 0.712 0.688 0.468
O 0.709 0.685 0.275
O 0.796 0.202 0.978
O 0.784 0.210 0.772
O 0.800 0.202 0.471
O 0.789 0.187 0.280
O 0.912 0.474 0.625
O 0.897 0.470 0.124
CELL_PARAMETERS angstrom
5.389 0.000 0.000
-0.048 5.619 0.000
-0.043 -0.027 15.287
```